Density functional theory data (GGA+U) for Li2TiFe3O8 after structural relaxation.

Calculated values
The crystal system is triclinic. For the energy above the lowest structure with this stoichiometry, the calculation gives 21 meV/atom. Its formation energy is -2.131 eV per atom.

a b c (Å): 5.9716 5.9927 8.5104
angles (deg): 90.20 90.06 90.99
Last column: nearest neighbours and their distance in Å.
Fractional positions:
Li 0.0000 0.0000 0.0000  4 O 1.99-2.04
Li 0.0016 0.5109 0.2484  4 O 1.99-2.05
Li 0.4962 0.0084 0.7470  4 O 2.00-2.03
Li 0.5059 0.5024 0.5006  4 O 2.00-2.02
Ti 0.2588 0.5077 0.8630  6 O 1.91-2.12
Ti 0.7433 0.0022 0.3846  6 O 1.91-2.12
Fe 0.0009 0.2553 0.6236  6 O 2.02-2.09
Fe 0.0007 0.7555 0.6236  6 O 2.02-2.07
Fe 0.2457 0.0043 0.3737  6 O 1.98-2.08
Fe 0.5004 0.7560 0.1238  6 O 1.90-2.05
Fe 0.5011 0.2560 0.1247  6 O 2.03-2.07
Fe 0.7564 0.5069 0.8745  6 O 1.98-2.08
O 0.0085 0.7284 0.8641  2 Fe 1.99-2.05, 1 Li 1.99, 1 Ti 2.01
O 0.0130 0.2827 0.8685  1 Ti 1.98, 1 Li 2.03, 2 Fe 2.06-2.09
O 0.2259 0.0089 0.6063  3 Fe 1.98-2.02, 1 Li 2.01
O 0.2360 0.5078 0.6395  1 Ti 1.91, 1 Li 2.00, 2 Fe 2.05-2.07
O 0.2762 0.9986 0.1386  3 Fe 2.00-2.03, 1 Li 2.03
O 0.2832 0.5202 0.1115  2 Fe 1.90-2.07, 1 Li 2.05, 1 Ti 2.12
O 0.4970 0.7338 0.8838  1 Ti 1.95, 1 Li 2.02, 2 Fe 2.05-2.08
O 0.4990 0.2851 0.8854  1 Ti 1.99, 2 Fe 2.02-2.04, 1 Li 2.03
O 0.5040 0.7773 0.3638  1 Ti 1.96, 1 Li 2.02, 2 Fe 2.05-2.08
O 0.5050 0.2268 0.3625  1 Ti 1.98, 1 Li 2.02, 2 Fe 2.03
O 0.7185 0.9911 0.1362  2 Fe 1.90-2.07, 1 Li 2.04, 1 Ti 2.12
O 0.7258 0.5134 0.1088  3 Fe 2.00-2.03, 1 Li 2.03
O 0.7655 0.0031 0.6084  1 Ti 1.91, 1 Li 2.00, 2 Fe 2.05-2.07
O 0.7755 0.5019 0.6427  3 Fe 1.98-2.02, 1 Li 2.01
O 0.9897 0.2284 0.3798  1 Ti 1.98, 1 Li 2.03, 2 Fe 2.05-2.08
O 0.9917 0.7818 0.3840  1 Li 1.99, 1 Ti 2.00, 2 Fe 2.00-2.05